# Na17W20O60 | the Materials Project database | PBE with a Hubbard U | relaxed
# Energy relative to the elements, eV per formula unit: -208.3
data_Na17W20O60
_chemical_formula_sum 'Na34 W40 O120'
_cell_length_a 15.857
_cell_length_b 39.711
_cell_length_c 3.947
_cell_angle_alpha 90.00
_cell_angle_beta 90.00
_cell_angle_gamma 90.00
_symmetry_space_group_name_H-M 'C m m m'
_symmetry_Int_Tables_number 65
_symmetry_space_group_name_Hall '-C 2 2'
loop_
_atom_site_label
_atom_site_fract_x
_atom_site_fract_y
_atom_site_fract_z
Na1 0.000 0.000 0.000
Na2 0.000 0.101 0.000
Na3 0.000 0.299 0.000
Na4 0.000 0.402 0.000
Na5 0.248 0.100 0.000
Na6 0.248 0.200 0.000
Na7 0.249 0.500 0.000
W1 0.123 0.151 0.500
W2 0.124 0.250 0.500
W3 0.124 0.450 0.500
W4 0.125 0.050 0.500
W5 0.125 0.350 0.500
O1 0.000 0.051 0.500
O2 0.000 0.148 0.500
O3 0.000 0.252 0.500
O4 0.000 0.349 0.500
O5 0.000 0.446 0.500
O6 0.121 0.000 0.500
O7 0.123 0.051 0.000
O8 0.125 0.102 0.500
O9 0.125 0.350 0.000
O10 0.126 0.150 0.000
O11 0.126 0.301 0.500
O12 0.126 0.398 0.500
O13 0.127 0.199 0.500
O14 0.127 0.251 0.000
O15 0.129 0.448 0.000
O16 0.136 0.500 0.500
O17 0.246 0.051 0.500
O18 0.249 0.150 0.500
O19 0.250 0.250 0.500

***

# K2CoSiO4 | the Materials Project database | PBE with a Hubbard U | relaxed
# Energy relative to the elements, eV per formula unit: -18.7
data_K2CoSiO4
_chemical_formula_sum 'K16 Co8 Si8 O32'
_cell_length_a 11.038
_cell_length_b 5.502
_cell_length_c 15.865
_cell_angle_alpha 90.00
_cell_angle_beta 90.00
_cell_angle_gamma 90.00
_symmetry_space_group_name_H-M 'P c a 21'
_symmetry_Int_Tables_number 29
_symmetry_space_group_name_Hall 'P 2c -2ac'
loop_
_atom_site_label
_atom_site_fract_x
_atom_site_fract_y
_atom_site_fract_z
K1 0.013 0.007 0.125
K2 0.014 0.503 0.748
K3 0.234 0.057 0.500
K4 0.238 0.551 0.369
Co1 0.010 0.008 0.875
Co2 0.241 0.538 0.622
Si1 0.008 0.509 0.997
Si2 0.235 0.033 0.251
O1 0.012 0.783 0.476
O2 0.025 0.330 0.412
O3 0.082 0.418 0.577
O4 0.106 0.912 0.283
O5 0.151 0.569 0.024
O6 0.176 0.074 0.834
O7 0.202 0.845 0.682
O8 0.205 0.297 0.207

***

# VF5 | the Materials Project database | PBE with a Hubbard U | relaxed
# Energy relative to the elements, eV per formula unit: -16.5
data_VF5
_chemical_formula_sum 'V4 F20'
_cell_length_a 7.381
_cell_length_b 5.175
_cell_length_c 10.197
_cell_angle_alpha 90.00
_cell_angle_beta 110.72
_cell_angle_gamma 90.00
_symmetry_space_group_name_H-M 'P 1 21/c 1'
_symmetry_Int_Tables_number 14
_symmetry_space_group_name_Hall '-P 2ybc'
loop_
_atom_site_label
_atom_site_fract_x
_atom_site_fract_y
_atom_site_fract_z
V1 0.000 0.000 0.000
V2 0.500 0.000 0.000
F1 0.037 0.166 0.159
F2 0.119 0.725 0.095
F3 0.249 0.132 0.998
F4 0.385 0.714 0.916
F5 0.459 0.144 0.835

***

| no. | magnetization (μB per atom) |
| --- | --- |
| 1 | 0.17 |
| 2 | 0.00 |
| 3 | 0.00 |